(1)
VASP calculation (PBE) on an optimized crystal structure of Na2CO6.

Cell lengths 8.7393, 8.7393, 9.4631 Å; angles 89.60, 89.60, 133.26 degrees
Last column: nearest neighbours and their distance in Å.
Positions (direct):
Na  0.7787  0.2781  0.2476  5 O 2.28-2.55
Na  0.7771  0.2767  0.7423  3 O 2.27-2.50
Na  0.2767  0.7771  0.2423  3 O 2.27-2.50
Na  0.2781  0.7787  0.7476  5 O 2.28-2.55
Na  0.5200  0.5200  0.5008  5 O 2.38-2.66
Na  0.0255  0.0195  0.5023  5 O 2.37-2.63
Na  0.0195  0.0255  0.0023  5 O 2.37-2.63
Na  0.5200  0.5200  0.0008  5 O 2.38-2.66
C  0.3619  0.1826  0.2496  3 O 1.29-1.30
C  0.6849  0.8602  0.7496  3 O 1.29-1.30
C  0.8602  0.6849  0.2496  3 O 1.29-1.30
C  0.1826  0.3619  0.7496  3 O 1.29-1.30
O  0.4402  0.1106  0.3009  1 C 1.30
O  0.6154  0.9395  0.6952  1 C 1.30
O  0.9395  0.6154  0.1952  1 C 1.30
O  0.1106  0.4402  0.8009  1 C 1.30
O  0.3445  0.1874  0.1145  1 C 1.29
O  0.6926  0.8495  0.8852  1 C 1.29
O  0.8495  0.6926  0.3852  1 C 1.29
O  0.1874  0.3445  0.6145  1 C 1.29
O  0.4860  0.2425  0.6554  1 O 1.27
O  0.7343  0.9762  0.3459  1 O 1.26
O  0.9762  0.7343  0.8459  1 O 1.26
O  0.2425  0.4860  0.1554  1 O 1.27
O  0.3300  0.0617  0.6085  1 O 1.27
O  0.5500  0.8264  0.3924  1 O 1.26
O  0.8264  0.5500  0.8924  1 O 1.26
O  0.0617  0.3300  0.1085  1 O 1.27
O  0.3010  0.2487  0.3329  1 C 1.29
O  0.7451  0.7920  0.6678  1 C 1.29
O  0.7920  0.7451  0.1678  1 C 1.29
O  0.2487  0.3010  0.8329  1 C 1.29
O  0.4646  0.0234  0.9569  1 O 1.27
O  0.0234  0.4646  0.4569  1 O 1.27
O  0.6316  0.0938  0.0154  1 O 1.27
O  0.0938  0.6316  0.5154  1 O 1.27

Output
- Crystal system: monoclinic
- E (MP2020): -5.7788 eV/atom
- Formation energy: -1160.9 meV/atom
- Space group: Cc
- Total energy: -204.17 eV per cell

***

(2)
VASP calculation (PBE) on an optimized crystal structure of CsI4.

Cell lengths 9.0892, 10.7112, 11.7206 Å; angles 67.20, 90.00, 90.00 degrees
Last column: nearest neighbours and their distance in Å.
Positions (direct):
Cs  0.6241  0.7273  0.6954  9 I 3.99-4.23
Cs  0.1241  0.2727  0.8046  9 I 3.99-4.23
Cs  0.3759  0.2727  0.3046  9 I 3.99-4.23
Cs  0.8759  0.7273  0.1954  9 I 3.99-4.23
I  0.3562  0.5468  0.5123  1 I 2.85
I  0.8562  0.4532  0.9877  1 I 2.85
I  0.6438  0.4532  0.4877  1 I 2.85
I  0.1438  0.5468  0.0123  1 I 2.85
I  0.0298  0.6700  0.5494  2 I 3.02-3.34
I  0.5298  0.3300  0.9506  2 I 3.02-3.34
I  0.9702  0.3300  0.4506  2 I 3.02-3.34
I  0.4702  0.6700  0.0494  2 I 3.02-3.34
I  0.2063  0.8756  0.6091  2 I 2.90-3.02
I  0.7063  0.1244  0.8909  2 I 2.90-3.02
I  0.7937  0.1244  0.3909  2 I 2.90-3.02
I  0.2937  0.8756  0.1091  2 I 2.90-3.02
I  0.3952  0.0596  0.6692  1 I 2.90
I  0.8952  0.9404  0.8308  1 I 2.90
I  0.6048  0.9404  0.3308  1 I 2.90
I  0.1048  0.0596  0.1692  1 I 2.90

Output
- Crystal system: monoclinic
- E (MP2020): -2.3766 eV/atom
- Formation energy: -978.3 meV/atom
- Space group: P2_1/c
- Total energy: -41.47 eV per cell

***

(3)
VASP calculation (PBE) on an optimized crystal structure of CeSe2.

Cell lengths 12.6355, 16.6452, 16.6452 Å; angles 88.44, 81.15, 81.15 degrees
Last column: nearest neighbours and their distance in Å.
Positions (direct):
Ce  0.9559  0.7853  0.0093  4 Se 2.71-2.72
Ce  0.9559  0.0093  0.7853  4 Se 2.71-2.72
Ce  0.0441  0.2147  0.9907  4 Se 2.71-2.72
Ce  0.0441  0.9907  0.2147  4 Se 2.71-2.72
Ce  0.3500  0.6545  0.8785  4 Se 2.71-2.72
Ce  0.3500  0.8785  0.6545  4 Se 2.71-2.72
Ce  0.6500  0.3455  0.1215  4 Se 2.71-2.72
Ce  0.6500  0.1215  0.3455  4 Se 2.71-2.72
Ce  0.5877  0.6678  0.1067  4 Se 2.71-2.72
Ce  0.5877  0.1067  0.6678  4 Se 2.71-2.72
Ce  0.4123  0.3322  0.8933  4 Se 2.71-2.72
Ce  0.4123  0.8933  0.3322  4 Se 2.71-2.72
Se  0.0000  0.8587  0.1413  2 Ce 2.71
Se  0.0000  0.1413  0.8587  2 Ce 2.71
Se  0.8939  0.9006  0.9006  2 Ce 2.71
Se  0.1061  0.0994  0.0994  2 Ce 2.71
Se  0.1361  0.6867  0.9394  2 Ce 2.71
Se  0.1361  0.9394  0.6867  2 Ce 2.71
Se  0.8639  0.3133  0.0606  2 Ce 2.71
Se  0.8639  0.0606  0.3133  2 Ce 2.71
Se  0.7934  0.6962  0.0555  2 Ce 2.72
Se  0.7934  0.0555  0.6962  2 Ce 2.72
Se  0.2066  0.3038  0.9445  2 Ce 2.72
Se  0.2066  0.9445  0.3038  2 Ce 2.72
Se  0.3873  0.7350  0.7350  2 Ce 2.72
Se  0.6127  0.2650  0.2650  2 Ce 2.72
Se  0.4097  0.4920  0.8545  2 Ce 2.72
Se  0.4097  0.8545  0.4920  2 Ce 2.72
Se  0.5903  0.5080  0.1455  2 Ce 2.72
Se  0.5903  0.1455  0.5080  2 Ce 2.72
Se  0.4674  0.7056  0.9854  2 Ce 2.71
Se  0.4674  0.9854  0.7056  2 Ce 2.71
Se  0.5326  0.2944  0.0146  2 Ce 2.71
Se  0.5326  0.0146  0.2944  2 Ce 2.71
Se  0.5000  0.7613  0.2387  2 Ce 2.72
Se  0.5000  0.2387  0.7613  2 Ce 2.72

Output
- Crystal system: monoclinic
- E (MP2020): -5.7027 eV/atom
- Formation energy: -1394.4 meV/atom
- Space group: C2/m
- Total energy: -193.97 eV per cell

***

(4)
VASP calculation (PBE) on an optimized crystal structure of Nd3CoGe2.

Cell lengths 4.2668, 11.5395, 11.9196 Å; angles 90.00, 90.00, 90.00 degrees
Last column: nearest neighbours and their distance in Å.
Positions (direct):
Nd  0.2500  0.3718  0.0574  1 Co 2.88, 4 Ge 3.06-3.11
Nd  0.7500  0.6282  0.9426  1 Co 2.88, 4 Ge 3.06-3.11
Nd  0.7500  0.8718  0.4426  1 Co 2.88, 4 Ge 3.06-3.11
Nd  0.2500  0.1282  0.5574  1 Co 2.88, 4 Ge 3.06-3.11
Nd  0.2500  0.6988  0.2193  2 Co 2.87, 3 Ge 3.04-3.11
Nd  0.7500  0.3012  0.7807  2 Co 2.87, 3 Ge 3.04-3.11
Nd  0.7500  0.1988  0.2807  2 Co 2.87, 3 Ge 3.04-3.11
Nd  0.2500  0.8012  0.7193  2 Co 2.87, 3 Ge 3.04-3.11
Nd  0.2500  0.4435  0.3821  5 Ge 2.99-3.15, 3 Co 3.07-3.12
Nd  0.7500  0.5565  0.6179  5 Ge 2.99-3.15, 3 Co 3.07-3.12
Nd  0.7500  0.9435  0.1179  5 Ge 2.99-3.15, 3 Co 3.07-3.12
Nd  0.2500  0.0565  0.8821  5 Ge 2.99-3.15, 3 Co 3.07-3.12
Co  0.2500  0.1343  0.1325  3 Ge 2.53-2.55
Co  0.7500  0.8657  0.8675  3 Ge 2.53-2.55
Co  0.7500  0.6343  0.3675  3 Ge 2.53-2.55
Co  0.2500  0.3657  0.6325  3 Ge 2.53-2.55
Ge  0.2500  0.6846  0.4743  2 Co 2.55
Ge  0.7500  0.3154  0.5257  2 Co 2.55
Ge  0.7500  0.1846  0.0257  2 Co 2.55
Ge  0.2500  0.8154  0.9743  2 Co 2.55
Ge  0.2500  0.0044  0.3032  1 Co 2.53
Ge  0.7500  0.9956  0.6968  1 Co 2.53
Ge  0.7500  0.5044  0.1968  1 Co 2.53
Ge  0.2500  0.4956  0.8032  1 Co 2.53

Output
- Crystal system: orthorhombic
- Formation energy: -655.5 meV/atom
- Space group: Pnma
- Total energy: -138.37 eV per cell